Record 1
CdAs2S2O4F12: relaxed, GGA-PBE.

Properties
DFT formation energy = -2.201 eV/atom
Final energy = -4.724 eV/atom

Cell: 15.7727 18.5660 9.1721 Å, 90.00 90.00 90.00°
Closest atoms and distances in Å follow each position.
Space group Fdd2 (No. 43)
Symmetry-distinct sites (fractional):
Cd (0.0000, 0.0000, 0.0000) x8  2 O 2.29, 4 F 2.30
As (0.0896, 0.3060, 0.5789) x16  6 F 1.75-1.83
S (0.0889, 0.3528, 0.0628) x16  2 O 1.44-1.47
O (0.0681, 0.3995, 0.1827) x16  1 S 1.44
O (0.0938, 0.0493, 0.8375) x16  1 S 1.47
F (0.0072, 0.2957, 0.4513) x16  1 As 1.76
F (0.0171, 0.3175, 0.7210) x16  1 As 1.75
F (0.0745, 0.0696, 0.4461) x16  1 As 1.75
F (0.0852, 0.0484, 0.1791) x16  1 As 1.82
F (0.0874, 0.4026, 0.5409) x16  1 As 1.83
F (0.0936, 0.2119, 0.6058) x16  1 As 1.77


Record 2
CdAs2Xe4F20: relaxed, GGA-PBE.

Properties
DFT formation energy = -1.737 eV/atom
Final energy = -3.198 eV/atom

Cell: 8.9329 13.9856 17.1091 Å, 90.00 90.00 90.00°
Closest atoms and distances in Å follow each position.
Space group P2_12_12_1 (No. 19)
Symmetry-distinct sites (fractional):
Cd (0.1336, 0.0501, 0.4037) x4  8 F 2.29-2.50
As (0.0301, 0.0075, 0.9882) x4  6 F 1.75-1.82
As (0.2324, 0.2109, 0.2218) x4  6 F 1.76-1.84
Xe (0.0703, 0.3423, 0.9610) x4  2 F 2.04-2.14
Xe (0.1790, 0.6855, 0.9593) x4  2 F 2.08-2.10
Xe (0.2259, 0.8663, 0.2149) x4  2 F 2.05-2.12
Xe (0.2487, 0.5380, 0.2276) x4  2 F 2.04-2.14
F (0.0173, 0.3914, 0.5452) x4  1 As 1.77
F (0.0179, 0.5798, 0.9757) x4  1 Xe 2.08
F (0.0452, 0.1701, 0.2219) x4  1 As 1.77
F (0.0469, 0.4820, 0.4196) x4  1 As 1.76
F (0.0632, 0.9022, 0.4478) x4  1 Xe 2.14, 1 Cd 2.29
F (0.0800, 0.7505, 0.7285) x4  1 As 1.76
F (0.0863, 0.1213, 0.0183) x4  1 As 1.75
F (0.1060, 0.5874, 0.1353) x4  1 Xe 2.14, 1 Cd 2.30
F (0.1058, 0.9592, 0.2901) x4  1 Xe 2.12, 1 Cd 2.33
F (0.1115, 0.5073, 0.8142) x4  1 Xe 2.04
F (0.1218, 0.0271, 0.8946) x4  1 As 1.82
F (0.1394, 0.5520, 0.5489) x4  1 As 1.76
F (0.1502, 0.2127, 0.4467) x4  1 Xe 2.10
F (0.1668, 0.2251, 0.6403) x4  1 Xe 2.05
F (0.1767, 0.3085, 0.2818) x4  1 As 1.78
F (0.2005, 0.2853, 0.8747) x4  1 Xe 2.04
F (0.2039, 0.2789, 0.1368) x4  1 As 1.76
F (0.2092, 0.9585, 0.0190) x4  1 As 1.82
F (0.2112, 0.8903, 0.6680) x4  1 As 1.76
F (0.2348, 0.8590, 0.8115) x4  1 As 1.84


Record 3
CdGa4As4S: relaxed, GGA-PBE.

Properties
DFT formation energy = -0.449 eV/atom
Final energy = -3.980 eV/atom

Cell: 4.0859 4.0859 50.2262 Å, 90.00 90.00 120.00°
Closest atoms and distances in Å follow each position.
Space group R3m (No. 160, hexagonal axes)
Symmetry-distinct sites (fractional):
Cd (0.0000, 0.0000, 0.0000) x3  3 S 2.59, 1 As 2.61
Ga (0.0000, 0.0000, 0.1995) x3  4 As 2.50
Ga (0.0000, 0.0000, 0.4010) x3  1 S 2.33, 3 As 2.49
Ga (0.0000, 0.0000, 0.5987) x3  4 As 2.49
Ga (0.0000, 0.0000, 0.8000) x3  4 As 2.50
As (0.0000, 0.0000, 0.1497) x3  4 Ga 2.50
As (0.0000, 0.0000, 0.5491) x3  4 Ga 2.49-2.50
As (0.0000, 0.0000, 0.7502) x3  4 Ga 2.49-2.50
As (0.0000, 0.0000, 0.9480) x3  3 Ga 2.49, 1 Cd 2.61
S (0.0000, 0.0000, 0.3546) x3  1 Ga 2.33, 3 Cd 2.59


Record 4
CdGa4As4Se: relaxed, GGA-PBE.

Properties
DFT formation energy = -0.427 eV/atom
Final energy = -3.897 eV/atom

Cell: 4.1129 4.1129 50.9425 Å, 90.00 90.00 120.00°
Closest atoms and distances in Å follow each position.
Space group R3m (No. 160, hexagonal axes)
Symmetry-distinct sites (fractional):
Cd (0.0000, 0.0000, 0.0000) x3  1 As 2.61, 3 Se 2.66
Ga (0.0000, 0.0000, 0.1969) x3  4 As 2.51
Ga (0.0000, 0.0000, 0.4002) x3  4 As 2.50-2.51
Ga (0.0000, 0.0000, 0.5948) x3  1 Se 2.46, 3 As 2.50
Ga (0.0000, 0.0000, 0.7985) x3  4 As 2.51
As (0.0000, 0.0000, 0.0513) x3  3 Ga 2.50, 1 Cd 2.61
As (0.0000, 0.0000, 0.2461) x3  4 Ga 2.50-2.51
As (0.0000, 0.0000, 0.4494) x3  4 Ga 2.51
As (0.0000, 0.0000, 0.8477) x3  4 Ga 2.51
Se (0.0000, 0.0000, 0.6431) x3  1 Ga 2.46, 3 Cd 2.66